i) This record from the Materials Project describes a geometry-optimized Sr3SbAs structure. The functional is PBE-GGA.

Cell lengths 6.1100, 6.1100, 6.1100 Å; angles 90.00, 90.00, 90.00 degrees
Atoms (fractional coordinates):
Sr 0.5000 0.5000 0.0000
As 0.0000 0.0000 0.0000
Sr 0.5000 0.0000 0.5000
Sb 0.5000 0.5000 0.5000
Sr 0.0000 0.5000 0.5000

=====

ii) This record from the Materials Project describes a geometry-optimized Sr3SbAs structure. The functional is PBE-GGA.

Cell lengths 5.8484, 5.8484, 5.8484 Å; angles 90.00, 90.00, 90.00 degrees
Atoms (fractional coordinates):
Sr 0.5000 0.5000 0.0000
Sb 0.0000 0.0000 0.0000
As 0.5000 0.5000 0.5000
Sr 0.0000 0.5000 0.5000
Sr 0.5000 0.0000 0.5000

=====

The relative energies come out as i) 0.436; ii) 0.000, with values in eV/atom.